Entry 1:
Below is crystalline K2V3P4O17 at its relaxed geometry, with properties calculated at the PBE with a Hubbard U level.

a b c (Å): 17.726 11.651 7.383
angles (deg): 90.00 90.00 90.00
Space group Pna2_1 (No. 33)
Symmetry-distinct sites (fractional):
1 K 0.145 0.043 0.000 [4 per cell]
2 K 0.171 0.631 0.980 [4 per cell]
3 V 0.001 0.498 0.209 [4 per cell]
4 V 0.102 0.161 0.482 [4 per cell]
5 V 0.189 0.839 0.487 [4 per cell]
6 P 0.026 0.790 0.681 [4 per cell]
7 P 0.030 0.788 0.276 [4 per cell]
8 P 0.171 0.388 0.688 [4 per cell]
9 P 0.174 0.389 0.286 [4 per cell]
10 O 0.009 0.208 0.976 [4 per cell]
11 O 0.009 0.508 0.481 [4 per cell]
12 O 0.019 0.133 0.659 [4 per cell]
13 O 0.024 0.668 0.756 [4 per cell]
14 O 0.026 0.129 0.287 [4 per cell]
15 O 0.031 0.665 0.207 [4 per cell]
16 O 0.106 0.838 0.675 [4 per cell]
17 O 0.109 0.468 0.758 [4 per cell]
18 O 0.110 0.837 0.289 [4 per cell]
19 O 0.113 0.467 0.211 [4 per cell]
20 O 0.147 0.262 0.671 [4 per cell]
21 O 0.151 0.263 0.300 [4 per cell]
22 O 0.155 0.046 0.484 [4 per cell]
23 O 0.195 0.433 0.488 [4 per cell]
24 O 0.220 0.706 0.491 [4 per cell]
25 O 0.243 0.407 0.797 [4 per cell]
26 O 0.248 0.408 0.185 [4 per cell]

formation energy from the elements = -2590 meV per atom
magnetic moment = 3.042 Bohr magnetons per cell

Entry 2:
Below is crystalline KV2PO8 at its relaxed geometry, with properties calculated at the PBE with a Hubbard U level.

a b c (Å): 13.948 4.838 20.569
angles (deg): 90.00 90.00 90.00
Space group Pna2_1 (No. 33)
Symmetry-distinct sites (fractional):
1 K 0.030 0.186 0.000 [4 per cell]
2 K 0.214 0.792 0.744 [4 per cell]
3 V 0.042 0.205 0.351 [4 per cell]
4 V 0.122 0.656 0.127 [4 per cell]
5 V 0.127 0.336 0.615 [4 per cell]
6 V 0.210 0.702 0.391 [4 per cell]
7 P 0.014 0.306 0.752 [4 per cell]
8 P 0.236 0.688 0.991 [4 per cell]
9 O 0.006 0.240 0.599 [4 per cell]
10 O 0.019 0.610 0.775 [4 per cell]
11 O 0.020 0.674 0.911 [4 per cell]
12 O 0.021 0.109 0.810 [4 per cell]
13 O 0.081 0.751 0.214 [4 per cell]
14 O 0.103 0.256 0.708 [4 per cell]
15 O 0.109 0.915 0.398 [4 per cell]
16 O 0.119 0.320 0.127 [4 per cell]
17 O 0.126 0.673 0.615 [4 per cell]
18 O 0.144 0.415 0.343 [4 per cell]
19 O 0.148 0.741 0.035 [4 per cell]
20 O 0.169 0.241 0.528 [4 per cell]
21 O 0.225 0.322 0.832 [4 per cell]
22 O 0.229 0.884 0.932 [4 per cell]
23 O 0.231 0.384 0.968 [4 per cell]
24 O 0.244 0.740 0.143 [4 per cell]

formation energy from the elements = -2496 meV per atom
magnetic moment = 0.001 Bohr magnetons per cell

Entry 3:
Below is crystalline KV3P4O17 at its relaxed geometry, with properties calculated at the PBE with a Hubbard U level.

a b c (Å): 7.981 10.134 16.630
angles (deg): 90.00 90.00 90.00
Space group P2_12_12_1 (No. 19)
Symmetry-distinct sites (fractional):
1 K 0.005 0.050 0.179 [4 per cell]
2 V 0.209 0.748 0.494 [4 per cell]
3 V 0.212 0.817 0.847 [4 per cell]
4 V 0.213 0.684 0.152 [4 per cell]
5 P 0.191 0.134 0.816 [4 per cell]
6 P 0.191 0.633 0.686 [4 per cell]
7 P 0.192 0.567 0.967 [4 per cell]
8 P 0.195 0.065 0.534 [4 per cell]
9 O 0.001 0.120 0.787 [4 per cell]
10 O 0.002 0.098 0.523 [4 per cell]
11 O 0.005 0.818 0.838 [4 per cell]
12 O 0.006 0.683 0.148 [4 per cell]
13 O 0.018 0.742 0.460 [4 per cell]
14 O 0.182 0.171 0.906 [4 per cell]
15 O 0.191 0.669 0.595 [4 per cell]
16 O 0.209 0.417 0.953 [4 per cell]
17 O 0.212 0.914 0.548 [4 per cell]
18 O 0.219 0.889 0.959 [4 per cell]
19 O 0.226 0.388 0.544 [4 per cell]
20 O 0.228 0.756 0.267 [4 per cell]
21 O 0.230 0.001 0.302 [4 per cell]
22 O 0.230 0.501 0.201 [4 per cell]
23 O 0.232 0.256 0.235 [4 per cell]
24 O 0.245 0.365 0.391 [4 per cell]
25 O 0.246 0.870 0.112 [4 per cell]

formation energy from the elements = -2601 meV per atom
magnetic moment = 0.000 Bohr magnetons per cell

Entry 4:
Below is crystalline K2V3P4O17 at its relaxed geometry, with properties calculated at the PBE with a Hubbard U level.

a b c (Å): 9.383 5.099 18.772
angles (deg): 90.00 114.57 90.00
Space group Pc (No. 7)
Symmetry-distinct sites (fractional):
1 K 0.000 0.231 0.000 [2 per cell]
2 K 0.645 0.248 0.659 [2 per cell]
3 V 0.184 0.222 0.677 [2 per cell]
4 V 0.461 0.279 0.983 [2 per cell]
5 V 0.825 0.349 0.330 [2 per cell]
6 P 0.022 0.272 0.227 [2 per cell]
7 P 0.198 0.220 0.400 [2 per cell]
8 P 0.448 0.278 0.260 [2 per cell]
9 P 0.625 0.227 0.433 [2 per cell]
10 O 0.030 0.071 0.168 [2 per cell]
11 O 0.037 0.225 0.403 [2 per cell]
12 O 0.040 0.446 0.703 [2 per cell]
13 O 0.143 0.252 0.584 [2 per cell]
14 O 0.167 0.206 0.309 [2 per cell]
15 O 0.285 0.030 0.936 [2 per cell]
16 O 0.290 0.468 0.434 [2 per cell]
17 O 0.355 0.031 0.226 [2 per cell]
18 O 0.363 0.471 0.724 [2 per cell]
19 O 0.480 0.294 0.351 [2 per cell]
20 O 0.503 0.248 0.076 [2 per cell]
21 O 0.607 0.056 0.956 [2 per cell]
22 O 0.608 0.262 0.256 [2 per cell]
23 O 0.615 0.426 0.492 [2 per cell]
24 O 0.777 0.251 0.422 [2 per cell]
25 O 0.829 0.329 0.829 [2 per cell]
26 O 0.871 0.245 0.239 [2 per cell]

formation energy from the elements = -2636 meV per atom
magnetic moment = 6.000 Bohr magnetons per cell